Entry 1:
Entry from the Materials Project database: crystalline Pr3NbO7 at its relaxed geometry (PBE).

```
data_Pr3NbO7
_chemical_formula_sum 'Pr12 Nb4 O28'
_symmetry_space_group_name_H-M 'C m c m'
_symmetry_Int_Tables_number 63
_symmetry_space_group_name_Hall '-C 2c 2'
_cell_length_a 11.108
_cell_length_b 7.608
_cell_length_c 7.791
_cell_angle_alpha 90.00
_cell_angle_beta 90.00
_cell_angle_gamma 90.00
loop_
_atom_site_label
_atom_site_fract_x
_atom_site_fract_y
_atom_site_fract_z
Pr1 0.000 0.000 0.000
Pr2 0.226 0.296 0.250
Nb1 0.000 0.500 0.000
O1 0.000 0.431 0.250
O2 0.126 0.312 0.534
O3 0.131 0.023 0.250
```

Calculated values
Formation enthalpy at 0 K = -3.61 eV/atom


Entry 2:
Entry from the Materials Project database: crystalline Ho2CuB8O16 at its relaxed geometry (PBE).

```
data_Ho2CuB8O16
_chemical_formula_sum 'Ho4 Cu2 B16 O32'
_symmetry_space_group_name_H-M 'P b a m'
_symmetry_Int_Tables_number 55
_symmetry_space_group_name_Hall '-P 2 2ab'
_cell_length_a 6.229
_cell_length_b 8.499
_cell_length_c 10.248
_cell_angle_alpha 90.00
_cell_angle_beta 90.00
_cell_angle_gamma 90.00
loop_
_atom_site_label
_atom_site_fract_x
_atom_site_fract_y
_atom_site_fract_z
Ho1 0.000 0.000 0.182
Cu1 0.000 0.000 0.500
B1 0.000 0.500 0.194
B2 0.114 0.317 0.000
B3 0.119 0.693 0.377
O1 0.062 0.163 0.000
O2 0.063 0.845 0.359
O3 0.149 0.401 0.116
O4 0.149 0.627 0.500
O5 0.153 0.594 0.270
```

Calculated values
Formation enthalpy at 0 K = -2.95 eV/atom


Entry 3:
Entry from the Materials Project database: crystalline NaLaScSbO6 at its relaxed geometry (PBE).

```
data_NaLaScSbO6
_chemical_formula_sum 'Na2 La2 Sc2 Sb2 O12'
_symmetry_space_group_name_H-M 'P 1 c 1'
_symmetry_Int_Tables_number 7
_symmetry_space_group_name_Hall 'P -2yc'
_cell_length_a 5.687
_cell_length_b 5.704
_cell_length_c 9.805
_cell_angle_alpha 90.00
_cell_angle_beta 125.28
_cell_angle_gamma 90.00
loop_
_atom_site_label
_atom_site_fract_x
_atom_site_fract_y
_atom_site_fract_z
Na1 0.000 0.246 0.000
La1 0.479 0.260 0.500
Sc1 0.740 0.249 0.247
Sb1 0.244 0.249 0.751
O1 0.045 0.492 0.797
O2 0.065 0.011 0.298
O3 0.435 0.498 0.702
O4 0.453 0.020 0.701
O5 0.569 0.257 0.994
O6 0.906 0.245 0.508
```

Calculated values
Formation enthalpy at 0 K = -2.99 eV/atom


Entry 4:
Entry from the Materials Project database: crystalline Ba2BeSO4F4 at its relaxed geometry (PBE).

```
data_Ba2BeSO4F4
_chemical_formula_sum 'Ba4 Be2 S2 O8 F8'
_symmetry_space_group_name_H-M 'P 1 21 1'
_symmetry_Int_Tables_number 4
_symmetry_space_group_name_Hall 'P 2yb'
_cell_length_a 6.347
_cell_length_b 7.808
_cell_length_c 7.396
_cell_angle_alpha 90.00
_cell_angle_beta 94.29
_cell_angle_gamma 90.00
loop_
_atom_site_label
_atom_site_fract_x
_atom_site_fract_y
_atom_site_fract_z
Ba1 0.021 0.000 0.097
Ba2 0.422 0.798 0.602
Be1 0.029 0.096 0.599
S1 0.482 0.238 0.921
O1 0.303 0.252 0.046
O2 0.310 0.763 0.969
O3 0.423 0.983 0.301
O4 0.431 0.433 0.834
F1 0.044 0.935 0.725
F2 0.092 0.737 0.304
F3 0.109 0.563 0.582
F4 0.257 0.147 0.559
```

Calculated values
Formation enthalpy at 0 K = -2.76 eV/atom


Entry 5:
Entry from the Materials Project database: crystalline BaMg14Mn at its relaxed geometry (PBE).

```
data_BaMg14Mn
_chemical_formula_sum 'Ba2 Mg28 Mn2'
_symmetry_space_group_name_H-M 'A m m 2'
_symmetry_Int_Tables_number 38
_symmetry_space_group_name_Hall 'A 2 -2'
_cell_length_a 10.485
_cell_length_b 6.454
_cell_length_c 11.552
_cell_angle_alpha 90.00
_cell_angle_beta 90.00
_cell_angle_gamma 90.00
loop_
_atom_site_label
_atom_site_fract_x
_atom_site_fract_y
_atom_site_fract_z
Ba1 0.000 0.000 0.000
Mg1 0.000 0.240 0.251
Mg2 0.234 0.000 0.651
Mg3 0.260 0.239 0.405
Mg4 0.269 0.000 0.163
Mg5 0.500 0.000 0.494
Mg6 0.500 0.000 0.990
Mg7 0.500 0.244 0.743
Mn1 0.000 0.000 0.480
```

Calculated values
Relative energy among the computed polymorphs = 0.0 meV/atom
Formation enthalpy at 0 K = 0.13 eV/atom


Entry 6:
Entry from the Materials Project database: crystalline Al3Au8 at its relaxed geometry (PBE).

```
data_Al3Au8
_chemical_formula_sum 'Al36 Au96'
_symmetry_space_group_name_H-M 'R -3 c'
_symmetry_Int_Tables_number 167
_symmetry_space_group_name_Hall '-R 3 2"c'
_cell_length_a 7.8436
_cell_length_b 7.8436
_cell_length_c 42.8942
_cell_angle_alpha 90.00
_cell_angle_beta 90.00
_cell_angle_gamma 120.00
loop_
_atom_site_label
_atom_site_fract_x
_atom_site_fract_y
_atom_site_fract_z
Al1 0.0000 0.0000 0.0000
Al2 0.0000 0.0000 0.1563
Al3 0.0000 0.3163 0.2500
Au1 0.0000 0.0000 0.0629
Au2 0.0000 0.0000 0.2175
Au3 0.0008 0.2615 0.1143
Au4 0.0007 0.3542 0.8504
```

Calculated values
Formation enthalpy at 0 K = -0.27 eV/atom


- Among the records above, which one has the lowest formation enthalpy at 0 K?
  Pr3NbO7